Record 1
First-principles (PBE) data for a relaxed structure of BaUPO6F, as listed in the Materials Project.

Cell lengths 6.726, 8.379, 11.173 Å; angles 90.00, 92.33, 90.00 degrees
Sites, in units of the cell vectors:
Ba  0.161  0.232  0.492
Ba  0.161  0.268  0.992
Ba  0.839  0.732  0.008
Ba  0.839  0.768  0.508
U  0.393  0.619  0.263
U  0.393  0.881  0.763
U  0.607  0.119  0.237
U  0.607  0.381  0.737
P  0.093  0.534  0.735
P  0.093  0.966  0.235
P  0.907  0.034  0.765
P  0.907  0.466  0.265
O  0.047  0.535  0.867
O  0.047  0.965  0.367
O  0.091  0.518  0.347
O  0.091  0.982  0.847
O  0.152  0.704  0.690
O  0.152  0.796  0.190
O  0.263  0.086  0.209
O  0.263  0.414  0.709
O  0.385  0.528  0.115
O  0.385  0.972  0.615
O  0.422  0.709  0.410
O  0.422  0.791  0.910
O  0.578  0.209  0.090
O  0.578  0.291  0.590
O  0.615  0.028  0.385
O  0.615  0.472  0.885
O  0.737  0.586  0.291
O  0.737  0.914  0.791
O  0.848  0.204  0.810
O  0.848  0.296  0.310
O  0.909  0.018  0.153
O  0.909  0.482  0.653
O  0.953  0.035  0.633
O  0.953  0.465  0.133
F  0.440  0.154  0.823
F  0.440  0.346  0.323
F  0.560  0.654  0.677
F  0.560  0.846  0.177

Values from the calculation:
M_tot: 0.005 μB per formula unit
formation enthalpy at 0 K: -333 kJ/mol of atoms



Record 2
First-principles (PBE) data for a relaxed structure of BaSr3Pd2O4F4, as listed in the Materials Project.

Cell lengths 4.129, 4.129, 13.305 Å; angles 90.00, 90.00, 90.00 degrees
Sites, in units of the cell vectors:
Ba  0.000  0.000  0.000
Sr  0.000  0.000  0.721
Sr  0.500  0.500  0.235
Sr  0.500  0.500  0.502
Pd  0.000  0.000  0.365
Pd  0.500  0.500  0.868
O  0.000  0.500  0.369
O  0.000  0.500  0.847
O  0.500  0.000  0.369
O  0.500  0.000  0.847
F  0.000  0.500  0.126
F  0.000  0.500  0.610
F  0.500  0.000  0.126
F  0.500  0.000  0.610

Values from the calculation:
M_tot: 0.223 μB per formula unit
formation enthalpy at 0 K: -279 kJ/mol of atoms



Record 3
First-principles (PBE) data for a relaxed structure of BaSrPdO2F2, as listed in the Materials Project.

Cell lengths 7.454, 7.454, 7.454 Å; angles 147.71, 147.71, 46.31 degrees
Sites, in units of the cell vectors:
Ba  0.000  0.000  0.000
Sr  0.727  0.727  0.000
Pd  0.369  0.369  0.000
O  0.350  0.850  0.500
O  0.850  0.350  0.500
F  0.122  0.622  0.500
F  0.622  0.122  0.500

Values from the calculation:
M_tot: 0.064 μB per formula unit
formation enthalpy at 0 K: -276 kJ/mol of atoms



Record 4
First-principles (PBE) data for a relaxed structure of Ba2S2O3F2, as listed in the Materials Project.

Cell lengths 4.635, 4.723, 8.111 Å; angles 76.45, 78.94, 88.16 degrees
Sites, in units of the cell vectors:
Ba  0.000  0.000  0.000
Ba  0.402  0.375  0.374
S  0.568  0.574  0.859
S  0.793  0.843  0.598
O  0.077  0.940  0.637
O  0.520  0.256  0.830
O  0.853  0.604  0.501
F  0.451  0.932  0.214
F  0.971  0.420  0.181

Values from the calculation:
M_tot: 0.000 μB per formula unit
formation enthalpy at 0 K: -255 kJ/mol of atoms



Record 5
First-principles (PBE) data for a relaxed structure of Ba2ScO3F, as listed in the Materials Project.

Cell lengths 7.505, 7.505, 7.505 Å; angles 147.65, 147.65, 46.40 degrees
Sites, in units of the cell vectors:
Ba  0.000  0.000  0.000
Ba  0.274  0.274  0.000
Sc  0.624  0.624  0.000
O  0.144  0.644  0.500
O  0.477  0.477  0.000
O  0.644  0.144  0.500
F  0.806  0.806  0.000

Values from the calculation:
formation enthalpy at 0 K: -346 kJ/mol of atoms



Record 6
First-principles (PBE) data for a relaxed structure of Ba2Ti2Si2O9F2, as listed in the Materials Project.

Cell lengths 8.873, 10.951, 19.042 Å; angles 90.00, 90.00, 90.00 degrees
Sites, in units of the cell vectors:
Ba  0.244  0.004  0.027
Ba  0.244  0.496  0.527
Ba  0.247  0.699  0.719
Ba  0.247  0.801  0.219
Ba  0.253  0.199  0.719
Ba  0.253  0.301  0.219
Ba  0.256  0.504  0.027
Ba  0.256  0.996  0.527
Ba  0.744  0.004  0.473
Ba  0.744  0.496  0.973
Ba  0.747  0.699  0.781
Ba  0.747  0.801  0.281
Ba  0.753  0.199  0.781
Ba  0.753  0.301  0.281
Ba  0.756  0.504  0.473
Ba  0.756  0.996  0.973
Ti  0.031  0.041  0.338
Ti  0.031  0.459  0.838
Ti  0.050  0.238  0.923
Ti  0.050  0.262  0.423
Ti  0.450  0.738  0.923
Ti  0.450  0.762  0.423
Ti  0.469  0.541  0.338
Ti  0.469  0.959  0.838
Ti  0.531  0.041  0.162
Ti  0.531  0.459  0.662
Ti  0.550  0.238  0.577
Ti  0.550  0.262  0.077
Ti  0.950  0.738  0.577
Ti  0.950  0.762  0.077
Ti  0.969  0.541  0.162
Ti  0.969  0.959  0.662
Si  0.060  0.741  0.910
Si  0.060  0.759  0.410
Si  0.084  0.517  0.331
Si  0.084  0.983  0.831
Si  0.416  0.017  0.331
Si  0.416  0.483  0.831
Si  0.440  0.241  0.910
Si  0.440  0.259  0.410
Si  0.560  0.741  0.590
Si  0.560  0.759  0.090
Si  0.584  0.517  0.169
Si  0.584  0.983  0.669
Si  0.916  0.017  0.169
Si  0.916  0.483  0.669
Si  0.940  0.241  0.590
Si  0.940  0.259  0.090
O  0.007  0.029  0.758
O  0.007  0.471  0.258
O  0.019  0.192  0.023
O  0.019  0.308  0.523
O  0.022  0.055  0.900
O  0.022  0.445  0.400
O  0.030  0.121  0.617
O  0.030  0.379  0.117
O  0.038  0.095  0.437
O  0.038  0.405  0.937
O  0.046  0.210  0.322
O  0.046  0.290  0.822
O  0.053  0.666  0.340
O  0.053  0.834  0.840
O  0.233  0.503  0.825
O  0.233  0.997  0.325
O  0.237  0.715  0.929
O  0.237  0.785  0.429
O  0.263  0.215  0.929
O  0.263  0.285  0.429
O  0.267  0.003  0.825
O  0.267  0.497  0.325
O  0.447  0.166  0.340
O  0.447  0.334  0.840
O  0.454  0.710  0.322
O  0.454  0.790  0.822
O  0.462  0.595  0.437
O  0.462  0.905  0.937
O  0.470  0.621  0.617
O  0.470  0.879  0.117
O  0.478  0.555  0.900
O  0.478  0.945  0.400
O  0.481  0.692  0.023
O  0.481  0.808  0.523
O  0.493  0.529  0.758
O  0.493  0.971  0.258
O  0.507  0.029  0.742
O  0.507  0.471  0.242
O  0.519  0.192  0.477
O  0.519  0.308  0.977
O  0.522  0.055  0.600
O  0.522  0.445  0.100
O  0.530  0.121  0.883
O  0.530  0.379  0.383
O  0.538  0.095  0.063
O  0.538  0.405  0.563
O  0.546  0.210  0.178
O  0.546  0.290  0.678
O  0.553  0.666  0.160
O  0.553  0.834  0.660
O  0.733  0.503  0.675
O  0.733  0.997  0.175
O  0.737  0.715  0.571
O  0.737  0.785  0.071
O  0.763  0.215  0.571
O  0.763  0.285  0.071
O  0.767  0.003  0.675
O  0.767  0.497  0.175
O  0.947  0.166  0.160
O  0.947  0.334  0.660
O  0.954  0.710  0.178
O  0.954  0.790  0.678
O  0.962  0.595  0.063
O  0.962  0.905  0.563
O  0.970  0.621  0.883
O  0.970  0.879  0.383
O  0.978  0.555  0.600
O  0.978  0.945  0.100
O  0.981  0.692  0.477
O  0.981  0.808  0.977
O  0.993  0.529  0.742
O  0.993  0.971  0.242
F  0.177  0.728  0.583
F  0.177  0.772  0.083
F  0.201  0.558  0.164
F  0.201  0.942  0.664
F  0.299  0.058  0.164
F  0.299  0.442  0.664
F  0.323  0.228  0.583
F  0.323  0.272  0.083
F  0.677  0.728  0.917
F  0.677  0.772  0.417
F  0.701  0.558  0.336
F  0.701  0.942  0.836
F  0.799  0.058  0.336
F  0.799  0.442  0.836
F  0.823  0.228  0.917
F  0.823  0.272  0.417

Values from the calculation:
M_tot: 0.000 μB per formula unit
formation enthalpy at 0 K: -343 kJ/mol of atoms



Record 7
First-principles (PBE) data for a relaxed structure of BaY2Si2O7F2, as listed in the Materials Project.

Cell lengths 5.227, 6.917, 11.877 Å; angles 92.99, 102.11, 111.35 degrees
Sites, in units of the cell vectors:
Ba  0.096  0.382  0.250
Ba  0.904  0.618  0.750
Y  0.175  0.202  0.623
Y  0.318  0.195  0.956
Y  0.682  0.805  0.044
Y  0.825  0.798  0.377
Si  0.272  0.931  0.218
Si  0.372  0.751  0.566
Si  0.628  0.249  0.434
Si  0.728  0.069  0.782
O  0.023  0.272  0.790
O  0.126  0.852  0.556
O  0.173  0.058  0.117
O  0.295  0.554  0.640
O  0.318  0.069  0.347
O  0.426  0.702  0.440
O  0.451  0.122  0.784
O  0.549  0.878  0.216
O  0.574  0.298  0.560
O  0.682  0.931  0.653
O  0.705  0.446  0.360
O  0.827  0.942  0.883
O  0.874  0.148  0.444
O  0.977  0.728  0.210
F  0.288  0.828  0.943
F  0.332  0.481  0.065
F  0.668  0.519  0.935
F  0.712  0.172  0.057

Values from the calculation:
M_tot: 0.000 μB per formula unit
formation enthalpy at 0 K: -363 kJ/mol of atoms



Record 8
First-principles (PBE) data for a relaxed structure of Ba2ZrO3F2, as listed in the Materials Project.

Cell lengths 8.780, 8.780, 8.780 Å; angles 152.82, 152.66, 38.93 degrees
Sites, in units of the cell vectors:
Ba  0.000  0.000  0.000
Ba  0.283  0.283  0.000
Zr  0.638  0.638  0.000
O  0.121  0.621  0.500
O  0.614  0.114  0.500
O  0.758  0.758  0.000
F  0.494  0.494  0.000
F  0.886  0.386  0.500

Values from the calculation:
M_tot: 0.000 μB per formula unit
formation enthalpy at 0 K: -357 kJ/mol of atoms



- Number 4 is which compound?
  Ba2S2O3F2



- The lowest formation enthalpy at 0 K belongs to which entry?
  BaY2Si2O7F2